A relaxed structure of Pt3I8, computed with r2SCAN.

Cell: 10.913 12.056 12.056 Å, 90.00 90.00 90.00°
Fractional coordinates of all 44 atoms:
I: 0.753 0.151 0.627
I: 0.508 0.349 0.611
I: 0.223 0.412 0.878
I: 0.472 0.124 0.900
I: 0.778 0.376 0.400
I: 0.473 0.622 0.912
I: 0.497 0.349 0.127
I: 0.777 0.878 0.412
I: 0.747 0.373 0.849
I: 0.278 0.624 0.600
I: 0.758 0.889 0.849
I: 0.992 0.389 0.651
I: 0.503 0.127 0.349
I: 0.973 0.378 0.088
I: 0.722 0.600 0.624
I: 0.972 0.876 0.100
I: 0.242 0.849 0.889
I: 0.527 0.912 0.622
I: 0.742 0.151 0.111
I: 0.027 0.088 0.378
I: 0.253 0.849 0.373
I: 0.277 0.122 0.588
I: 0.528 0.900 0.124
I: 0.258 0.111 0.151
I: 0.028 0.100 0.876
I: 0.003 0.873 0.651
I: 0.723 0.588 0.122
I: 0.997 0.651 0.873
I: 0.222 0.400 0.376
I: 0.492 0.611 0.349
I: 0.008 0.651 0.389
I: 0.247 0.627 0.151
Pt: 0.266 0.117 0.369
Pt: 0.250 0.624 0.376
Pt: 0.234 0.631 0.883
Pt: 0.500 0.124 0.124
Pt: 0.016 0.869 0.383
Pt: 0.750 0.376 0.624
Pt: 0.734 0.369 0.117
Pt: 0.484 0.617 0.131
Pt: 0.766 0.883 0.631
Pt: 0.984 0.383 0.869
Pt: 0.516 0.131 0.617
Pt: 0.000 0.876 0.876

Summary:
The total energy is -32.12 eV per atom. For the formation energy, the calculation gives -0.213 eV per atom.

A relaxed structure of Y6PtI10, computed with r2SCAN.

Cell: 7.693 9.678 9.701 Å, 107.33 97.06 104.79°
Fractional coordinates of all 17 atoms:
Y: 0.649 0.873 0.832
Y: 0.115 0.041 0.757
Y: 0.885 0.959 0.243
Y: 0.970 0.289 0.087
Y: 0.030 0.711 0.913
Y: 0.351 0.127 0.168
I: 0.914 0.627 0.183
I: 0.453 0.815 0.093
I: 0.219 0.739 0.649
I: 0.263 0.090 0.466
I: 0.643 0.544 0.725
I: 0.357 0.456 0.275
I: 0.547 0.185 0.907
I: 0.086 0.373 0.817
I: 0.737 0.910 0.534
I: 0.781 0.261 0.351
Pt: 0.000 0.000 0.000

Summary:
The total energy is -26.18 eV per atom. For the formation energy, the calculation gives -1.532 eV per atom.

A relaxed structure of PuI3, computed with r2SCAN.

Cell: 7.715 7.715 9.975 Å, 90.00 90.00 147.71°
Fractional coordinates of all 8 atoms:
Pu: 0.735 0.265 0.750
Pu: 0.265 0.735 0.250
I: 0.918 0.082 0.250
I: 0.347 0.653 0.931
I: 0.653 0.347 0.431
I: 0.347 0.653 0.569
I: 0.082 0.918 0.750
I: 0.653 0.347 0.069

Summary:
The total energy is -41.47 eV per atom. For the formation energy, the calculation gives -1.461 eV per atom.

A relaxed structure of RbI, computed with r2SCAN.

Cell: 5.220 5.220 5.220 Å, 60.00 60.00 60.00°
Fractional coordinates of all 2 atoms:
I: 0.500 0.500 0.500
Rb: 0.000 0.000 0.000

Summary:
The total energy is -20.96 eV per atom. For the formation energy, the calculation gives -1.719 eV per atom.